No. 1
An optimized crystal structure of AlGaNi2. Source: the Materials Project database, functional r2SCAN.

Values from the calculation:
- ΔH_f (0 K) (eV/atom) = -0.522
- VASP energy (eV for the cell shown) = -44.2

```
AlGaNi2
1.0
0.0000 2.8672 2.8672
2.8672 0.0000 2.8672
2.8672 2.8672 0.0000
Al Ga Ni
1 1 2
Direct
0.5000 0.5000 0.5000
0.0000 0.0000 0.0000
0.2500 0.2500 0.2500
0.7500 0.7500 0.7500
```



No. 2
An optimized crystal structure of Ca3Al2Ge2. Source: the Materials Project database, functional r2SCAN.

Values from the calculation:
- ΔH_f (0 K) (eV/atom) = -0.603
- VASP energy (eV for the cell shown) = -66.5

```
Ca3Al2Ge2
1.0
-1.1331 2.6754 -2.9048
-4.2718 -0.0406 1.6289
4.7937 5.7076 6.2923
Ca Al Ge
3 2 2
Direct
0.5000 0.0000 0.0000
0.1859 0.1845 0.3718
0.8141 0.8155 0.6282
0.9318 0.4324 0.8636
0.0682 0.5676 0.1364
0.3546 0.3573 0.7092
0.6454 0.6427 0.2908
```